Below is a geometry-optimized Na14Ca6Zr2Si5S7O48 structure, with properties calculated at the PBE level. Values from VASP.

```
&SYSTEM
  ibrav = 0, nat = 246, ntyp = 6
/
ATOMIC_SPECIES
Na 22.99 Na.upf
Ca 40.08 Ca.upf
Zr 91.22 Zr.upf
Si 28.09 Si.upf
S 32.06 S.upf
O 16.00 O.upf
CELL_PARAMETERS angstrom
9.4664 0.0000 0.0000
0.0247 16.3884 0.0000
0.0428 0.0963 22.8787
ATOMIC_POSITIONS crystal
Na 0.0000 0.0000 0.0000
Na 0.0013 0.0356 0.3456
Na 0.0031 0.6884 0.0213
Na 0.0117 0.3298 0.0221
Na 0.0159 0.6544 0.3596
Na 0.1314 0.5056 0.4945
Na 0.1314 0.8346 0.5127
Na 0.1345 0.1529 0.8583
Na 0.1372 0.5298 0.8591
Na 0.1402 0.1835 0.5102
Na 0.1562 0.8387 0.1660
Na 0.1925 0.8587 0.8700
Na 0.2923 0.0126 0.9369
Na 0.3065 0.9927 0.4345
Na 0.3119 0.3392 0.0877
Na 0.3131 0.6740 0.2653
Na 0.3137 0.3450 0.5964
Na 0.3243 0.7059 0.7662
Na 0.4493 0.8434 0.3457
Na 0.4631 0.4957 0.0320
Na 0.4710 0.5068 0.6744
Na 0.4716 0.1885 0.0333
Na 0.4829 0.8591 0.0025
Na 0.4974 0.5196 0.3528
Na 0.5148 0.2037 0.6804
Na 0.5205 0.1664 0.3380
Na 0.6276 0.7071 0.1792
Na 0.6303 0.6693 0.8524
Na 0.6434 0.0183 0.8629
Na 0.6695 0.3508 0.4953
Na 0.6760 0.6955 0.5262
Na 0.6784 0.9949 0.5240
Na 0.6862 0.0022 0.1720
Na 0.6918 0.3426 0.8545
Na 0.8227 0.1690 0.7679
Na 0.8328 0.1833 0.2583
Na 0.8337 0.8436 0.5851
Na 0.8361 0.4892 0.9433
Na 0.8376 0.8548 0.1009
Na 0.8414 0.5093 0.4260
Na 0.9451 0.3486 0.3624
Na 0.9760 0.3245 0.6709
Ca 0.3102 0.0085 0.2739
Ca 0.3118 0.6803 0.4229
Ca 0.3121 0.6827 0.9236
Ca 0.3138 0.6759 0.1149
Ca 0.3174 0.6859 0.6134
Ca 0.3183 0.0060 0.7871
Ca 0.3210 0.3471 0.4478
Ca 0.3226 0.3450 0.9505
Ca 0.3301 0.3468 0.7488
Ca 0.8182 0.5070 0.7780
Ca 0.8187 0.8507 0.2462
Ca 0.8225 0.8459 0.4470
Ca 0.8226 0.8457 0.9495
Ca 0.8263 0.5061 0.2856
Ca 0.8274 0.1740 0.6138
Ca 0.8298 0.1797 0.4208
Ca 0.8301 0.1806 0.1149
Ca 0.8331 0.1800 0.9261
Zr 0.3012 0.0105 0.0904
Zr 0.3110 0.0031 0.5831
Zr 0.3329 0.3500 0.2536
Zr 0.8093 0.8511 0.7538
Zr 0.8277 0.5090 0.5842
Zr 0.8330 0.5029 0.0848
Si 0.0052 0.0135 0.1924
Si 0.0098 0.6750 0.5127
Si 0.1369 0.1736 0.0119
Si 0.1594 0.8363 0.0204
Si 0.1640 0.5268 0.0101
Si 0.1773 0.4996 0.3513
Si 0.4705 0.8579 0.1892
Si 0.4748 0.8308 0.5108
Si 0.5147 0.8417 0.8572
Si 0.6293 0.3409 0.3553
Si 0.6670 0.3587 0.6887
Si 0.6695 0.3309 0.0115
Si 0.9650 0.9995 0.8528
Si 0.9781 0.0265 0.5082
Si 0.9827 0.3335 0.5209
S 0.0175 0.3459 0.8463
S 0.1250 0.5093 0.6850
S 0.1300 0.8432 0.3494
S 0.1544 0.8602 0.6869
S 0.1768 0.1968 0.3485
S 0.1805 0.1627 0.6851
S 0.4680 0.1698 0.1867
S 0.4738 0.5026 0.8475
S 0.4819 0.1931 0.8468
S 0.4824 0.5219 0.5242
S 0.5069 0.1724 0.5230
S 0.5204 0.5072 0.1866
S 0.6210 0.0072 0.6861
S 0.6355 0.6702 0.0209
S 0.6564 0.0224 0.0209
S 0.6616 0.0016 0.3515
S 0.6638 0.6916 0.3493
S 0.6691 0.6662 0.6877
S 0.9618 0.6609 0.1856
S 0.9697 0.6969 0.8454
S 0.9903 0.3605 0.1869
O 0.0049 0.5096 0.3487
O 0.0108 0.1933 0.0577
O 0.0183 0.5177 0.6368
O 0.0210 0.1911 0.3418
O 0.0249 0.1725 0.6844
O 0.0357 0.8460 0.2981
O 0.0474 0.8385 0.4043
O 0.0529 0.5174 0.7420
O 0.0601 0.1509 0.9493
O 0.0834 0.0180 0.2554
O 0.0867 0.6478 0.4513
O 0.1001 0.3500 0.7910
O 0.1121 0.3427 0.8971
O 0.1166 0.6727 0.1828
O 0.1261 0.6929 0.8410
O 0.1338 0.6905 0.5600
O 0.1373 0.0095 0.8489
O 0.1375 0.0177 0.1418
O 0.1474 0.3540 0.1832
O 0.1509 0.0262 0.5317
O 0.1529 0.3469 0.5184
O 0.1593 0.5787 0.9484
O 0.1904 0.4265 0.6788
O 0.1933 0.7756 0.0750
O 0.1956 0.9024 0.7408
O 0.2001 0.4297 0.0088
O 0.2032 0.9097 0.6341
O 0.2123 0.2359 0.4047
O 0.2172 0.4529 0.4115
O 0.2215 0.7688 0.3441
O 0.2208 0.9183 0.3528
O 0.2221 0.7789 0.6850
O 0.2268 0.1260 0.7408
O 0.2268 0.7988 0.9597
O 0.2294 0.1100 0.6352
O 0.2313 0.2487 0.2987
O 0.2365 0.5720 0.6792
O 0.2374 0.4357 0.2974
O 0.2366 0.9281 0.0272
O 0.2388 0.0934 0.0272
O 0.2462 0.1156 0.3467
O 0.2456 0.2514 0.0123
O 0.2493 0.2445 0.6770
O 0.2612 0.5864 0.3437
O 0.2699 0.5737 0.0545
O 0.3910 0.9200 0.5320
O 0.3946 0.8092 0.4493
O 0.3965 0.2519 0.1862
O 0.3994 0.7663 0.1835
O 0.4011 0.5834 0.8508
O 0.4040 0.2399 0.5172
O 0.4072 0.9237 0.1381
O 0.4161 0.1227 0.1349
O 0.4211 0.9254 0.8531
O 0.4223 0.7584 0.8476
O 0.4232 0.0936 0.5293
O 0.4233 0.2382 0.8967
O 0.4242 0.1082 0.8482
O 0.4271 0.4326 0.1863
O 0.4278 0.8970 0.2520
O 0.4291 0.4371 0.5217
O 0.4312 0.4631 0.7917
O 0.4319 0.1261 0.2418
O 0.4320 0.5603 0.5790
O 0.4336 0.5816 0.1811
O 0.4346 0.4505 0.8976
O 0.4430 0.2346 0.7906
O 0.4438 0.5707 0.4724
O 0.4541 0.7579 0.5583
O 0.4938 0.3566 0.6775
O 0.4979 0.0182 0.0237
O 0.5034 0.3416 0.3013
O 0.5038 0.3594 0.0122
O 0.5050 0.0161 0.3510
O 0.5064 0.6866 0.3509
O 0.5118 0.6686 0.6864
O 0.5243 0.0021 0.6342
O 0.5386 0.0093 0.7406
O 0.5404 0.3406 0.4158
O 0.5468 0.6845 0.0729
O 0.5492 0.6597 0.9672
O 0.5906 0.1847 0.5770
O 0.5981 0.1624 0.4712
O 0.6012 0.5106 0.2415
O 0.6015 0.8403 0.9180
O 0.6190 0.5007 0.1350
O 0.6225 0.1794 0.1834
O 0.6308 0.5171 0.8498
O 0.6391 0.1896 0.8500
O 0.6403 0.8412 0.8023
O 0.6419 0.8551 0.5108
O 0.6432 0.5176 0.5251
O 0.6429 0.8528 0.1783
O 0.6915 0.2550 0.0558
O 0.6934 0.0680 0.9663
O 0.6969 0.9564 0.4057
O 0.7065 0.7365 0.2956
O 0.7076 0.0822 0.6819
O 0.7087 0.3969 0.7521
O 0.7090 0.9561 0.2993
O 0.7123 0.0637 0.0731
O 0.7117 0.6241 0.7427
O 0.7126 0.9375 0.0197
O 0.7156 0.5904 0.0289
O 0.7155 0.9329 0.6856
O 0.7176 0.7328 0.4022
O 0.7220 0.6063 0.3492
O 0.7218 0.6190 0.6358
O 0.7229 0.4250 0.3523
O 0.7250 0.2584 0.3458
O 0.7305 0.7499 0.6860
O 0.7340 0.0831 0.3511
O 0.7341 0.4261 0.6388
O 0.7370 0.2676 0.6821
O 0.7408 0.7363 0.0153
O 0.7473 0.3116 0.9487
O 0.7572 0.4184 0.0334
O 0.8735 0.0741 0.5533
O 0.8796 0.0857 0.8457
O 0.8866 0.0852 0.1855
O 0.8874 0.7403 0.1780
O 0.9031 0.5964 0.5303
O 0.9028 0.9358 0.7983
O 0.9053 0.7539 0.5112
O 0.9071 0.2956 0.4624
O 0.9072 0.4280 0.5271
O 0.9078 0.6135 0.8422
O 0.9124 0.6070 0.1361
O 0.9166 0.7476 0.7947
O 0.9222 0.6225 0.2416
O 0.9236 0.2800 0.1828
O 0.9236 0.7345 0.9008
O 0.9254 0.2722 0.8445
O 0.9283 0.4225 0.8522
O 0.9287 0.9515 0.9127
O 0.9334 0.9236 0.1789
O 0.9368 0.9305 0.5076
O 0.9436 0.4124 0.1346
O 0.9471 0.4011 0.2413
O 0.9486 0.2774 0.5778
O 0.9876 0.0774 0.4463
O 0.9880 0.8489 0.0201
O 0.9906 0.5293 0.0320
O 0.9975 0.8524 0.6830
```

Summary:
Magnetization in μB per formula unit: 0.00
Final energy in eV/cell: -1573.3
Space group: P1, No. 1

Below is a geometry-optimized TiCrAgS4 structure, with properties calculated at the PBE level. Values from VASP.

```
&SYSTEM
  ibrav = 0, nat = 28, ntyp = 4
/
ATOMIC_SPECIES
Ti 47.87 Ti.upf
Cr 52.00 Cr.upf
Ag 107.87 Ag.upf
S 32.06 S.upf
CELL_PARAMETERS angstrom
6.1402 0.0000 0.0000
-0.1413 7.0348 0.0000
-0.0724 -0.0658 12.0727
ATOMIC_POSITIONS crystal
Ti 0.0000 0.0000 0.0000
Ti 0.0334 0.2284 0.7471
Ti 0.5000 0.5000 0.5000
Ti 0.9666 0.7716 0.2529
Cr 0.0000 0.5000 0.0000
Cr 0.4754 0.2647 0.2447
Cr 0.5000 0.0000 0.5000
Cr 0.5246 0.7353 0.7553
Ag 0.0734 0.2640 0.4126
Ag 0.4189 0.2455 0.9055
Ag 0.5811 0.7545 0.0945
Ag 0.9266 0.7360 0.5874
S 0.1924 0.7518 0.0861
S 0.2122 0.5121 0.8251
S 0.2189 0.9684 0.8256
S 0.2308 0.2567 0.0886
S 0.2727 0.2389 0.5928
S 0.2829 0.9949 0.3276
S 0.2865 0.5253 0.3277
S 0.3153 0.7498 0.5892
S 0.6847 0.2502 0.4108
S 0.7135 0.4747 0.6723
S 0.7171 0.0051 0.6724
S 0.7273 0.7611 0.4072
S 0.7692 0.7433 0.9114
S 0.7811 0.0316 0.1744
S 0.7878 0.4879 0.1749
S 0.8076 0.2482 0.9139
```

Summary:
Magnetization in μB per formula unit: 3.00
Final energy in eV/cell: -167.4
Space group: P-1, No. 2
Excess energy over the best structure of this formula in the dataset in meV per atom: 116.1

Below is a geometry-optimized Mg2Si structure, with properties calculated at the PBE level. Values from VASP.

```
&SYSTEM
  ibrav = 0, nat = 12, ntyp = 2
/
ATOMIC_SPECIES
Mg 24.30 Mg.upf
Si 28.09 Si.upf
CELL_PARAMETERS angstrom
4.1589 0.0000 0.0000
1.8811 7.8959 0.0000
2.0451 3.1308 7.2664
ATOMIC_POSITIONS crystal
Mg 0.0000 0.0000 0.0000
Mg 0.1434 0.1515 0.5627
Mg 0.1470 0.5677 0.1404
Mg 0.3446 0.1589 0.1604
Mg 0.5000 0.5000 0.5000
Mg 0.6554 0.8411 0.8396
Mg 0.8530 0.4323 0.8596
Mg 0.8566 0.8485 0.4373
Si 0.2726 0.7145 0.7204
Si 0.4860 0.7980 0.2040
Si 0.5140 0.2020 0.7960
Si 0.7274 0.2855 0.2796
```

Summary:
Magnetization in μB per formula unit: 0.00
Final energy in eV/cell: -34.8
Space group: P-1, No. 2

Below is a geometry-optimized Ce2NCl3 structure, with properties calculated at the PBE level. Values from VASP.

```
&SYSTEM
  ibrav = 0, nat = 12, ntyp = 3
/
ATOMIC_SPECIES
Ce 140.12 Ce.upf
N 14.01 N.upf
Cl 35.45 Cl.upf
CELL_PARAMETERS angstrom
-3.4366 6.8935 3.0444
3.4366 -6.8935 3.0444
3.4366 6.8935 -3.0444
ATOMIC_POSITIONS crystal
Ce 0.0935 0.1746 0.2682
Ce 0.4065 0.6746 0.0811
Ce 0.5935 0.3254 0.9189
Ce 0.9065 0.8254 0.7318
N 0.2500 0.2500 0.0000
N 0.7500 0.7500 0.0000
Cl 0.1988 0.8162 0.0151
Cl 0.2500 0.7500 0.5000
Cl 0.3012 0.3162 0.6174
Cl 0.6988 0.6838 0.3826
Cl 0.7500 0.2500 0.5000
Cl 0.8012 0.1838 0.9849
```

Summary:
Final energy in eV/cell: -76.1
Space group: Ibam, No. 72

Below is a geometry-optimized BiC3O9 structure, with properties calculated at the PBE level. Values from VASP.

```
&SYSTEM
  ibrav = 0, nat = 52, ntyp = 3
/
ATOMIC_SPECIES
Bi 208.98 Bi.upf
C 12.01 C.upf
O 16.00 O.upf
CELL_PARAMETERS angstrom
9.5983 0.0000 0.0000
0.0000 8.4726 0.0000
-1.5426 0.0000 9.9941
ATOMIC_POSITIONS crystal
Bi 0.1845 0.0927 0.4129
Bi 0.1845 0.4073 0.9129
Bi 0.8155 0.5927 0.0871
Bi 0.8155 0.9073 0.5871
C 0.0277 0.6175 0.6743
C 0.0277 0.8825 0.1743
C 0.0806 0.1195 0.7261
C 0.0806 0.3805 0.2261
C 0.4859 0.5251 0.0712
C 0.4859 0.9749 0.5712
C 0.5141 0.0251 0.4288
C 0.5141 0.4749 0.9288
C 0.9194 0.6195 0.7739
C 0.9194 0.8805 0.2739
C 0.9723 0.1175 0.8257
C 0.9723 0.3825 0.3257
O 0.0028 0.1944 0.9321
O 0.0028 0.3056 0.4321
O 0.0539 0.0301 0.6244
O 0.0539 0.4699 0.1244
O 0.1423 0.5415 0.7096
O 0.1423 0.9585 0.2096
O 0.1851 0.2113 0.7471
O 0.1851 0.2887 0.2471
O 0.2256 0.6525 0.4120
O 0.2256 0.8475 0.9120
O 0.3407 0.5994 0.4801
O 0.3407 0.9006 0.9801
O 0.3479 0.0490 0.0055
O 0.3479 0.4510 0.5055
O 0.3611 0.5158 0.0952
O 0.3611 0.9842 0.5952
O 0.4093 0.0729 0.3460
O 0.4093 0.4271 0.8460
O 0.5907 0.5729 0.1540
O 0.5907 0.9271 0.6540
O 0.6389 0.0158 0.4048
O 0.6389 0.4842 0.9048
O 0.6521 0.5490 0.4945
O 0.6521 0.9510 0.9945
O 0.6593 0.0994 0.0199
O 0.6593 0.4006 0.5199
O 0.7744 0.1525 0.0880
O 0.7744 0.3475 0.5880
O 0.8149 0.7113 0.7529
O 0.8149 0.7887 0.2529
O 0.8577 0.0415 0.7904
O 0.8577 0.4585 0.2904
O 0.9461 0.5301 0.8756
O 0.9461 0.9699 0.3756
O 0.9972 0.6944 0.5679
O 0.9972 0.8056 0.0679
```

Summary:
Magnetization in μB per formula unit: 0.00
Final energy in eV/cell: -345.5
Space group: P2_1/c, No. 14

Below is a geometry-optimized Na3Pu structure, with properties calculated at the PBE level. Values from VASP.

```
&SYSTEM
  ibrav = 0, nat = 4, ntyp = 2
/
ATOMIC_SPECIES
Na 22.99 Na.upf
Pu 244.00 Pu.upf
CELL_PARAMETERS angstrom
0.0000 4.1921 4.1921
4.1921 0.0000 4.1921
4.1921 4.1921 0.0000
ATOMIC_POSITIONS crystal
Na 0.0000 0.0000 0.0000
Na 0.2500 0.2500 0.2500
Na 0.7500 0.7500 0.7500
Pu 0.5000 0.5000 0.5000
```

Summary:
Magnetization in μB per formula unit: 6.84
Final energy in eV/cell: -16.1
Space group: Fm-3m, No. 225
Excess energy over the best structure of this formula in the dataset in meV per atom: 54.8

Below is a geometry-optimized In2Se3 structure, with properties calculated at the PBE level. Values from VASP.

```
&SYSTEM
  ibrav = 0, nat = 30, ntyp = 2
/
ATOMIC_SPECIES
In 114.82 In.upf
Se 78.96 Se.upf
CELL_PARAMETERS angstrom
8.1871 0.0000 0.0000
-4.0935 7.0902 0.0000
0.0000 0.0000 21.4825
ATOMIC_POSITIONS crystal
In 0.0233 0.6840 0.0000
In 0.0414 0.7413 0.3359
In 0.2587 0.3001 0.0026
In 0.3001 0.0414 0.1693
In 0.3160 0.3393 0.6667
In 0.3393 0.0233 0.8333
In 0.6607 0.9767 0.3333
In 0.6840 0.6607 0.1667
In 0.6999 0.9586 0.6693
In 0.7413 0.6999 0.5026
In 0.9586 0.2587 0.8359
In 0.9767 0.3160 0.5000
Se 0.0074 0.6654 0.8734
Se 0.0289 0.3494 0.7023
Se 0.2821 0.6108 0.5389
Se 0.3205 0.9711 0.0356
Se 0.3286 0.7179 0.8723
Se 0.3346 0.3421 0.5401
Se 0.3421 0.0074 0.7067
Se 0.3494 0.3205 0.8689
Se 0.3892 0.6714 0.2056
Se 0.6108 0.3286 0.7056
Se 0.6506 0.6795 0.3689
Se 0.6579 0.9926 0.2067
Se 0.6654 0.6579 0.0401
Se 0.6714 0.2821 0.3723
Se 0.6795 0.0289 0.5356
Se 0.7179 0.3892 0.0389
Se 0.9711 0.6506 0.2023
Se 0.9926 0.3346 0.3734
```

Summary:
Magnetization in μB per formula unit: 0.00
Final energy in eV/cell: -99.3
Space group: P6_5, No. 170

Below is a geometry-optimized FeSe structure, with properties calculated at the PBE level. Values from VASP.

```
&SYSTEM
  ibrav = 0, nat = 4, ntyp = 2
/
ATOMIC_SPECIES
Fe 55.84 Fe.upf
Se 78.96 Se.upf
CELL_PARAMETERS angstrom
2.3563 -3.2785 0.0000
2.3563 3.2785 0.0000
0.0000 0.0000 4.4013
ATOMIC_POSITIONS crystal
Fe 0.0963 0.9037 0.7500
Fe 0.9037 0.0963 0.2500
Se 0.2688 0.7312 0.2500
Se 0.7312 0.2688 0.7500
```

Summary:
Magnetization in μB per formula unit: 2.27
Final energy in eV/cell: -24.0
Space group: Cmcm, No. 63